# Na4BeAlSi4ClO12

An optimized crystal structure of Na4BeAlSi4ClO12 (PBE-GGA, the Materials Project database).

## Properties
- Energy relative to the lowest polymorph listed for this composition: 0 meV/atom
- Maximum piezoelectric response: 0.19 C/m2
- Magnetic moment: 0.004 μB/cell
- Volume: 14.85 Å³/atom

abc: 8.7315 8.7315 8.9593
angles: 90.00 90.00 90.00
With the nearest neighbours (Å) after each atom.
Space group I-4 (No. 82)
One atom of each set of equivalent atoms:
1 Na 0.1562 0.1973 0.1812 [8 per cell]  3 O 2.32-2.41
2 Be 0.0000 0.5000 0.2500 [2 per cell]  4 O 1.64
3 Al 0.0000 0.5000 0.7500 [2 per cell]  4 O 1.77
4 Si 0.0129 0.2536 0.4955 [8 per cell]  4 O 1.60-1.66
5 Cl 0.0000 0.0000 0.0000 [2 per cell]  4 Na 2.73
6 O 0.0385 0.6525 0.3505 [8 per cell]  1 Si 1.60, 1 Be 1.64
7 O 0.0757 0.3517 0.6379 [8 per cell]  1 Si 1.63, 1 Al 1.77
8 O 0.1339 0.8494 0.5579 [8 per cell]  2 Si 1.66